(1)
Compound: Li3CuOF3
Source: Materials Project
Functional: GGA-PBE
Structure: optimized geometry

Output
Its total energy is -4.85 eV/atom. The symmetry is No. 123. For the formation energy from the elements, the calculation gives -2.543 eV/atom. Its total magnetization is 0.0 μB/cell.

a = 2.824 Å, b = 2.824 Å, c = 9.054 Å
α = 90.00°, β = 90.00°, γ = 90.00°
Element x y z (fractional)
Li1 0.500 0.500 0.268
Li2 0.500 0.500 0.732
O1 0.500 0.500 0.000
F1 0.000 0.000 0.729
Li3 0.000 0.000 0.500
Cu1 0.000 0.000 0.000
F2 0.000 0.000 0.271
F3 0.500 0.500 0.500

(2)
Compound: Ba5AlIr2O11
Source: Materials Project
Functional: GGA-PBE
Structure: optimized geometry

Output
Its total energy is -6.65 eV/atom. The symmetry is No. 62. For the formation energy from the elements, the calculation gives -2.554 eV/atom. Its total magnetization is 4.0 μB/cell.

a = 5.837 Å, b = 11.257 Å, c = 18.971 Å
α = 90.00°, β = 90.00°, γ = 90.00°
Element x y z (fractional)
O1 0.750 0.118 0.469
O2 0.498 0.750 0.635
O3 0.015 0.895 0.400
Ba1 0.750 0.808 0.861
O4 0.485 0.605 0.900
O5 0.502 0.250 0.865
O6 0.515 0.326 0.514
O7 0.002 0.750 0.635
Ba2 0.750 0.374 0.247
Ba3 0.750 0.046 0.328
Ba4 0.250 0.105 0.473
Ir1 0.750 0.211 0.562
Ba5 0.250 0.395 0.973
Ba6 0.750 0.895 0.527
Ba7 0.250 0.192 0.139
Al1 0.750 0.740 0.188
Ba8 0.750 0.973 0.073
O8 0.502 0.250 0.365
Ir2 0.750 0.205 0.937
O9 0.750 0.382 0.969
Ir3 0.750 0.289 0.062
O10 0.250 0.618 0.031
O11 0.515 0.174 0.014
O12 0.250 0.810 0.850
O13 0.998 0.250 0.865
O14 0.750 0.190 0.150
O15 0.750 0.600 0.228
Ir4 0.250 0.711 0.938
O16 0.750 0.310 0.650
Ir5 0.250 0.705 0.563
O17 0.750 0.458 0.400
O18 0.750 0.860 0.247
Ba9 0.250 0.626 0.753
O19 0.015 0.605 0.900
Ba10 0.250 0.308 0.639
Ir6 0.250 0.795 0.063
Ba11 0.750 0.126 0.747
Ba12 0.250 0.473 0.427
Ba13 0.250 0.954 0.672
O20 0.015 0.826 0.986
O21 0.985 0.395 0.100
O22 0.498 0.750 0.135
O23 0.985 0.105 0.600
Ir7 0.750 0.295 0.437
Ba14 0.750 0.692 0.361
O24 0.250 0.882 0.531
O25 0.485 0.674 0.486
O26 0.015 0.674 0.486
O27 0.250 0.690 0.350
Ba15 0.750 0.527 0.573
O28 0.250 0.140 0.753
O29 0.485 0.826 0.986
O30 0.750 0.900 0.728
Ba16 0.250 0.546 0.172
O31 0.250 0.400 0.772
O32 0.485 0.895 0.400
O33 0.750 0.640 0.747
O34 0.998 0.250 0.365
O35 0.750 0.042 0.900
O36 0.250 0.100 0.272
Ba17 0.250 0.874 0.253
O37 0.250 0.958 0.100
Al2 0.250 0.240 0.312
Ba18 0.750 0.454 0.828
O38 0.002 0.750 0.135
Al3 0.750 0.760 0.688
O39 0.515 0.105 0.600
O40 0.250 0.360 0.253
Ba19 0.750 0.605 0.027
O41 0.985 0.326 0.514
Ir8 0.250 0.789 0.438
Ba20 0.250 0.027 0.927
O42 0.985 0.174 0.014
Al4 0.250 0.260 0.812
O43 0.515 0.395 0.100
O44 0.250 0.542 0.600

(3)
Compound: SmHf
Source: Materials Project
Functional: GGA-PBE
Structure: optimized geometry

Output
Its total energy is -7.10 eV/atom. The symmetry is No. 187. For the formation energy from the elements, the calculation gives 0.241 eV/atom. Its total magnetization is 0.0 μB/cell.

a = 3.380 Å, b = 3.380 Å, c = 5.504 Å
α = 90.00°, β = 90.00°, γ = 120.00°
Element x y z (fractional)
Sm1 0.333 0.667 0.000
Hf1 0.667 0.333 0.500

(4)
Compound: Bi2CO5
Source: Materials Project
Functional: GGA-PBE
Structure: optimized geometry

Output
Its total energy is -6.46 eV/atom. The symmetry is No. 44. For the formation energy from the elements, the calculation gives -1.669 eV/atom. Its total magnetization is 0.0 μB/cell.

a = 7.523 Å, b = 7.523 Å, c = 7.523 Å
α = 152.33°, β = 144.74°, γ = 45.40°
Element x y z (fractional)
O1 0.450 0.706 0.743
C1 0.159 0.659 0.500
O2 0.385 0.385 0.000
O3 0.066 0.566 0.500
O4 0.963 0.706 0.257
Bi1 0.480 0.980 0.500
Bi2 0.805 0.305 0.500
O5 0.910 0.910 0.000

(5)
Compound: DySi
Source: Materials Project
Functional: GGA-PBE
Structure: optimized geometry

Output
Its total energy is -5.84 eV/atom. The symmetry is No. 62. For the formation energy from the elements, the calculation gives -0.790 eV/atom.

a = 3.835 Å, b = 5.697 Å, c = 7.917 Å
α = 90.00°, β = 90.00°, γ = 90.00°
Element x y z (fractional)
Dy1 0.250 0.385 0.679
Si1 0.750 0.129 0.462
Si2 0.250 0.871 0.538
Dy2 0.750 0.885 0.821
Dy3 0.750 0.615 0.321
Dy4 0.250 0.115 0.179
Si3 0.750 0.371 0.962
Si4 0.250 0.629 0.038

(6)
Compound: RbBa4Sb3O
Source: Materials Project
Functional: GGA-PBE
Structure: optimized geometry

Output
Its total energy is -4.18 eV/atom. The symmetry is No. 140. For the formation energy from the elements, the calculation gives -1.372 eV/atom. Its total magnetization is 0.0 μB/cell.

a = 10.557 Å, b = 10.557 Å, c = 10.557 Å
α = 129.12°, β = 129.12°, γ = 74.81°
Element x y z (fractional)
Rb1 0.500 0.500 0.000
Ba1 0.689 0.189 0.186
Rb2 0.000 0.000 0.000
Ba2 0.502 0.689 0.500
O1 0.250 0.750 0.500
Sb1 0.250 0.250 0.000
O2 0.750 0.250 0.500
Ba3 0.811 0.998 0.500
Sb2 0.114 0.386 0.500
Sb3 0.886 0.614 0.500
Ba4 0.498 0.311 0.500
Ba5 0.311 0.811 0.814
Sb4 0.750 0.750 0.000
Sb5 0.386 0.886 0.273
Ba6 0.189 0.002 0.500
Ba7 0.998 0.498 0.186
Sb6 0.614 0.114 0.727
Ba8 0.002 0.502 0.814

(7)
Compound: Ti3ZnHg4
Source: Materials Project
Functional: GGA-PBE
Structure: optimized geometry

Output
Its total energy is -3.25 eV/atom. The symmetry is No. 123. For the formation energy from the elements, the calculation gives 0.022 eV/atom. Its total magnetization is 2.8 μB/cell.

a = 3.110 Å, b = 3.110 Å, c = 15.739 Å
α = 90.00°, β = 90.00°, γ = 90.00°
Element x y z (fractional)
Ti1 0.500 0.500 0.500
Hg1 0.000 0.000 0.374
Hg2 0.000 0.000 0.626
Ti2 0.500 0.500 0.751
Zn1 0.500 0.500 0.000
Hg3 0.000 0.000 0.124
Hg4 0.000 0.000 0.876
Ti3 0.500 0.500 0.249

(8)
Compound: Te2MoWS2
Source: Materials Project
Functional: GGA-PBE
Structure: optimized geometry

Output
Its total energy is -6.86 eV/atom. The symmetry is No. 156. For the formation energy from the elements, the calculation gives -0.633 eV/atom. Its total magnetization is 0.0 μB/cell.

a = 3.356 Å, b = 3.356 Å, c = 38.306 Å
α = 90.00°, β = 90.00°, γ = 120.00°
Element x y z (fractional)
W1 0.333 0.667 0.282
S1 0.000 0.000 0.321
Mo1 0.000 0.000 0.470
Te1 0.333 0.667 0.519
Te2 0.333 0.667 0.420
Te3 0.333 0.667 0.045
W2 0.333 0.667 0.658
Te4 0.333 0.667 0.143
S2 0.000 0.000 0.242
Mo2 0.000 0.000 0.094
S3 0.000 0.000 0.697
S4 0.000 0.000 0.618